#one
! Li7MnO3F3, relaxed, DFT GGA+U; values from VASP
&SYSTEM
  ibrav = 0, nat = 56, ntyp = 4
/
ATOMIC_SPECIES
Li 6.94 Li.upf
Mn 54.94 Mn.upf
O 16.00 O.upf
F 19.00 F.upf
CELL_PARAMETERS angstrom
-0.068 4.036 4.865
-5.848 -6.657 4.708
8.212 -1.057 4.388
ATOMIC_POSITIONS crystal
Li 0.357 0.987 0.114
Li 0.857 0.487 0.114
Li 0.607 0.237 0.614
Li 0.107 0.737 0.614
Li 0.653 0.006 0.234
Li 0.153 0.506 0.234
Li 0.903 0.256 0.734
Li 0.403 0.756 0.734
Li 0.030 0.018 0.340
Li 0.531 0.518 0.340
Li 0.281 0.268 0.840
Li 0.781 0.768 0.840
Li 0.702 0.712 0.175
Li 0.202 0.212 0.175
Li 0.952 0.962 0.675
Li 0.452 0.462 0.675
Li 0.127 0.738 0.250
Li 0.627 0.238 0.250
Li 0.377 0.988 0.751
Li 0.877 0.488 0.751
Li 0.333 0.996 0.451
Li 0.833 0.496 0.451
Li 0.582 0.245 0.950
Li 0.082 0.745 0.950
Li 0.369 0.752 0.389
Li 0.869 0.252 0.389
Li 0.619 0.002 0.889
Li 0.119 0.502 0.889
Mn 0.278 0.277 0.490
Mn 0.528 0.527 0.990
Mn 0.778 0.777 0.490
Mn 0.028 0.027 0.990
O 0.354 0.112 0.303
O 0.854 0.612 0.303
O 0.604 0.362 0.802
O 0.104 0.862 0.802
O 0.396 0.625 0.211
O 0.896 0.125 0.211
O 0.646 0.874 0.711
O 0.146 0.375 0.711
O 0.100 0.859 0.462
O 0.600 0.359 0.462
O 0.350 0.109 0.962
O 0.850 0.609 0.962
F 0.643 0.905 0.037
F 0.143 0.405 0.038
F 0.894 0.155 0.537
F 0.394 0.655 0.537
F 0.115 0.862 0.131
F 0.615 0.362 0.131
F 0.367 0.112 0.631
F 0.867 0.612 0.631
F 0.605 0.877 0.358
F 0.105 0.377 0.358
F 0.855 0.127 0.858
F 0.355 0.627 0.858
! spin magnetization	0.00	μB per formula unit
! mass density	2.49	g/cm3
! V	557.24	Å³/cell
! maximum piezoelectric response	0.44	C/m²

#two
! Li7MnO3F3, relaxed, DFT GGA+U; values from VASP
&SYSTEM
  ibrav = 0, nat = 28, ntyp = 4
/
ATOMIC_SPECIES
Li 6.94 Li.upf
Mn 54.94 Mn.upf
O 16.00 O.upf
F 19.00 F.upf
CELL_PARAMETERS angstrom
4.245 2.612 2.373
0.358 -0.966 -5.987
-4.978 8.368 0.875
ATOMIC_POSITIONS crystal
Li 0.529 0.367 0.747
Li 0.533 0.349 0.058
Li 0.563 0.091 0.207
Li 0.914 0.941 0.316
Li 0.947 0.603 0.444
Li 0.003 0.632 0.754
Li 0.004 0.632 0.100
Li 0.988 0.357 0.885
Li 0.052 0.367 0.239
Li 0.029 0.355 0.552
Li 0.018 0.034 0.674
Li 0.454 0.999 0.820
Li 0.451 0.653 0.951
Li 0.497 0.644 0.603
Mn 0.018 0.017 0.991
Mn 0.522 0.027 0.510
O 0.300 0.268 0.885
O 0.806 0.221 0.378
O 0.792 0.245 0.702
O 0.818 0.248 0.059
O 0.173 0.748 0.940
O 0.220 0.752 0.605
F 0.283 0.206 0.199
F 0.318 0.282 0.574
F 0.143 0.738 0.289
F 0.760 0.793 0.483
F 0.698 0.736 0.782
F 0.698 0.724 0.121
! spin magnetization	0.00	μB per formula unit
! mass density	2.46	g/cm3
! V	281.77	Å³/cell
! symmetry	P1, No. 1

Most stable to least stable, the ends of the list are #one and #two.